SrCaSn4O12 PBE optimized geometry; calculated volume = 267.5 Å³/cell; symmetry = No. 38; uncorrected energy = -0.21506 Ha/atom; crystal system = orthorhombic
1.0
8.118 0.000 0.000
0.000 4.079 4.039
0.000 -4.079 4.039
Sr Ca Sn O
1 1 4 12
Cartesian
0.000 0.000 0.000 Sr
4.059 0.000 3.629 Ca
2.073 -1.942 5.853 Sn
2.073 1.942 5.853 Sn
6.045 -1.942 5.853 Sn
6.045 1.942 5.853 Sn
0.000 -1.694 5.935 O
0.000 1.694 5.935 O
1.817 0.000 2.012 O
1.929 -2.394 3.852 O
1.929 2.394 3.852 O
2.497 0.000 5.384 O
4.059 -1.666 2.045 O
4.059 1.666 2.045 O
5.621 0.000 5.384 O
6.189 -2.394 3.852 O
6.189 2.394 3.852 O
6.302 0.000 2.012 O



Tl2CuI3 PBE optimized geometry; calculated volume = 877.6 Å³/cell; symmetry = No. 58; uncorrected energy = -0.10037 Ha/atom; crystal system = orthorhombic
1.0
9.293 0.000 0.000
0.000 9.817 0.000
0.000 0.000 9.620
Tl Cu I
8 4 12
Cartesian
1.446 1.451 2.317 Tl
1.446 1.451 7.302 Tl
3.200 6.359 2.493 Tl
3.200 6.359 7.127 Tl
6.093 3.458 2.493 Tl
6.093 3.458 7.127 Tl
7.847 8.367 2.317 Tl
7.847 8.367 7.302 Tl
0.405 3.688 4.810 Cu
4.242 8.597 0.000 Cu
5.051 1.221 0.000 Cu
8.888 6.130 4.810 Cu
0.000 4.909 2.462 I
0.000 4.909 7.158 I
1.284 8.171 4.810 I
1.591 8.196 0.000 I
3.056 3.287 4.810 I
3.362 3.262 0.000 I
4.647 0.000 2.348 I
4.647 0.000 7.271 I
5.931 6.555 0.000 I
6.237 6.531 4.810 I
7.703 1.622 0.000 I
8.009 1.647 4.810 I



Si PBE optimized geometry; calculated volume = 29.6 Å³/cell; symmetry = No. 229; uncorrected energy = -0.18007 Ha/atom; crystal system = cubic; distance to the lowest polymorph of the same formula = 525.5 meV per atom
1.0
3.092 0.000 0.000
0.000 3.092 0.000
0.000 0.000 3.092
Si
2
Cartesian
0.000 0.000 0.000 Si
1.546 1.546 1.546 Si



UBC PBE optimized geometry; calculated volume = 142.5 Å³/cell; symmetry = No. 63; uncorrected energy = -0.34957 Ha/atom; crystal system = orthorhombic
1.0
3.629 0.000 0.000
0.000 11.945 0.000
0.000 0.000 3.286
U B C
4 4 4
Cartesian
0.000 1.647 0.822 U
0.000 10.298 2.465 U
1.815 4.325 2.465 U
1.815 7.620 0.822 U
0.000 5.564 0.822 B
0.000 6.381 2.465 B
1.815 0.409 2.465 B
1.815 11.536 0.822 B
0.000 3.985 0.822 C
0.000 7.960 2.465 C
1.815 1.987 2.465 C
1.815 9.957 0.822 C



Mg2PdN2 PBE optimized geometry; calculated volume = 119.8 Å³/cell; symmetry = No. 139; uncorrected energy = -0.19528 Ha/atom; crystal system = tetragonal
1.0
3.058 0.000 0.000
0.000 3.058 0.000
0.000 0.000 12.812
Mg Pd N
4 2 4
Cartesian
0.000 0.000 2.162 Mg
0.000 0.000 10.650 Mg
1.529 1.529 4.244 Mg
1.529 1.529 8.568 Mg
0.000 0.000 6.406 Pd
1.529 1.529 0.000 Pd
0.000 0.000 4.400 N
0.000 0.000 8.413 N
1.529 1.529 2.006 N
1.529 1.529 10.806 N



PrMgIn PBE optimized geometry; calculated volume = 252.4 Å³/cell; symmetry = No. 189; uncorrected energy = -0.12692 Ha/atom; crystal system = hexagonal
1.0
7.838 0.000 0.000
-3.919 6.788 0.000
0.000 0.000 4.744
Pr Mg In
3 3 3
Cartesian
-2.267 3.927 0.000 Pr
1.652 2.861 0.000 Pr
4.535 0.000 0.000 Pr
-0.957 1.657 2.372 Mg
1.913 0.000 2.372 Mg
2.962 5.131 2.372 Mg
0.000 0.000 0.000 In
0.000 4.525 2.372 In
3.919 2.263 2.372 In



K4SnTe2Se2 PBE optimized geometry; calculated volume = 1414.9 Å³/cell; symmetry = No. 62; uncorrected energy = -0.12355 Ha/atom; crystal system = orthorhombic
1.0
15.246 0.000 0.000
0.000 10.834 0.000
0.000 0.000 8.566
K Sn Te Se
16 4 8 8
Cartesian
0.000 0.000 0.000 K
0.000 5.417 0.000 K
0.990 2.709 4.127 K
3.486 5.816 5.524 K
3.486 10.435 5.524 K
4.137 0.399 1.241 K
4.137 5.018 1.241 K
6.633 8.126 8.409 K
7.623 0.000 4.283 K
7.623 5.417 4.283 K
8.613 2.709 0.156 K
11.109 5.816 7.324 K
11.109 10.435 7.324 K
11.760 0.399 3.041 K
11.760 5.018 3.041 K
14.256 8.126 4.439 K
2.465 8.126 2.249 Sn
5.158 2.709 6.532 Sn
10.088 8.126 2.033 Sn
12.781 2.709 6.316 Sn
2.513 2.709 7.479 Te
2.529 8.126 8.017 Te
5.094 2.709 3.734 Te
5.110 8.126 3.197 Te
10.136 2.709 5.369 Te
10.152 8.126 4.831 Te
12.717 2.709 0.549 Te
12.733 8.126 1.086 Te
1.283 6.014 3.045 Se
1.283 10.238 3.045 Se
6.340 0.596 7.328 Se
6.340 4.821 7.328 Se
8.906 6.014 1.237 Se
8.906 10.238 1.237 Se
13.963 0.596 5.520 Se
13.963 4.821 5.520 Se



Pr2Mo2C3 PBE optimized geometry; calculated volume = 453.2 Å³/cell; symmetry = No. 14; uncorrected energy = -0.31584 Ha/atom; crystal system = monoclinic
1.0
6.028 0.000 0.000
0.000 6.709 0.000
-4.551 0.000 11.205
Pr Mo C
8 8 12
Cartesian
0.721 1.450 1.015 Pr
-1.554 1.905 6.618 Pr
-0.268 0.007 4.064 Pr
-2.544 3.347 9.667 Pr
4.021 3.362 1.539 Pr
1.746 6.701 7.141 Pr
3.032 4.804 4.587 Pr
0.756 5.259 10.190 Pr
-2.084 0.035 9.867 Mo
0.191 3.319 4.264 Mo
1.231 4.990 1.759 Mo
-1.044 5.073 7.362 Mo
2.522 1.636 3.843 Mo
0.247 1.718 9.446 Mo
1.286 3.389 6.941 Mo
3.562 6.674 1.339 Mo
-3.895 0.862 9.633 C
-1.620 2.492 4.030 C
0.346 4.819 5.722 C
2.621 5.244 0.119 C
-0.587 0.094 8.382 C
1.688 3.261 2.779 C
-0.211 3.448 8.426 C
2.065 6.615 2.823 C
-1.143 1.465 11.086 C
1.132 1.890 5.484 C
3.098 4.217 7.175 C
5.373 5.846 1.572 C



SrBr2O6 PBE optimized geometry; calculated volume = 138.0 Å³/cell; symmetry = No. 5; uncorrected energy = -0.15485 Ha/atom; crystal system = monoclinic; distance to the lowest polymorph of the same formula = 327.9 meV per atom
1.0
4.567 -3.404 0.000
4.567 3.404 0.000
-0.446 0.000 4.437
Sr Br O
1 2 6
Cartesian
0.000 0.000 0.000 Sr
2.896 0.110 3.055 Br
5.793 0.110 1.382 Br
1.339 0.221 2.273 O
2.553 1.266 4.212 O
4.344 1.213 2.219 O
6.135 1.266 0.225 O
4.567 -0.912 0.000 O
7.350 0.221 2.164 O



Ba2Cu2O5 PBE optimized geometry; calculated volume = 657.6 Å³/cell; symmetry = No. 33; uncorrected energy = -0.20693 Ha/atom; crystal system = orthorhombic
1.0
11.543 0.000 0.000
0.000 4.139 0.000
0.000 0.000 13.765
Ba Cu O
8 8 20
Cartesian
0.627 1.000 0.000 Ba
2.241 0.997 4.361 Ba
3.531 3.067 11.244 Ba
5.144 3.070 6.882 Ba
6.399 1.069 0.000 Ba
8.012 1.072 4.361 Ba
9.303 3.141 11.244 Ba
10.916 3.138 6.882 Ba
0.214 1.099 9.692 Cu
2.707 0.946 8.407 Cu
3.064 3.015 1.525 Cu
5.557 3.168 2.809 Cu
5.986 0.970 9.692 Cu
8.479 1.123 8.407 Cu
8.836 3.193 1.525 Cu
11.329 3.039 2.809 Cu
0.414 3.205 4.529 O
0.921 1.115 7.939 O
1.432 2.457 2.197 O
1.999 0.935 10.150 O
2.418 3.132 13.573 O
3.353 1.063 6.691 O
3.773 3.005 3.268 O
4.340 0.388 9.080 O
4.850 3.184 1.057 O
5.358 1.136 11.411 O
6.186 3.003 4.529 O
6.693 0.955 7.939 O
7.204 3.751 2.197 O
7.770 1.134 10.150 O
8.190 3.076 13.573 O
9.125 1.006 6.691 O
9.545 3.203 3.268 O
10.111 1.681 9.080 O
10.622 3.024 1.057 O
11.129 0.933 11.411 O



ZnOsO3 PBE optimized geometry; calculated volume = 59.2 Å³/cell; symmetry = No. 221; uncorrected energy = -0.22098 Ha/atom; crystal system = cubic
1.0
3.897 0.000 0.000
0.000 3.897 0.000
0.000 0.000 3.897
Zn Os O
1 1 3
Cartesian
0.000 0.000 0.000 Zn
1.948 1.948 1.948 Os
0.000 1.948 1.948 O
1.948 0.000 1.948 O
1.948 1.948 0.000 O



Ta3Si6N11 PBE optimized geometry; calculated volume = 453.1 Å³/cell; symmetry = No. 100; uncorrected energy = -0.31486 Ha/atom; crystal system = tetragonal
1.0
9.699 0.000 0.000
0.000 9.699 0.000
0.000 0.000 4.816
Ta Si N
6 12 22
Cartesian
0.000 0.000 0.000 Ta
1.684 3.165 4.533 Ta
3.165 8.015 4.533 Ta
4.850 4.850 0.000 Ta
6.534 1.684 4.533 Ta
8.015 6.534 4.533 Ta
0.931 7.896 2.522 Si
1.237 6.087 0.115 Si
1.803 0.931 2.522 Si
3.046 5.781 2.522 Si
3.613 1.237 0.115 Si
3.919 3.046 2.522 Si
5.781 6.653 2.522 Si
6.087 8.463 0.115 Si
6.653 3.919 2.522 Si
7.896 8.769 2.522 Si
8.463 3.613 0.115 Si
8.769 1.803 2.522 Si
0.000 4.850 0.106 N
0.569 1.815 3.348 N
1.046 7.761 0.811 N
1.714 6.563 3.324 N
1.815 9.130 3.348 N
1.938 1.046 0.811 N
2.912 5.896 0.811 N
3.035 4.280 3.348 N
3.136 1.714 3.324 N
3.804 2.912 0.811 N
4.280 6.665 3.348 N
4.850 0.000 0.106 N
5.419 3.035 3.348 N
5.896 6.788 0.811 N
6.563 7.986 3.324 N
6.665 5.419 3.348 N
6.788 3.804 0.811 N
7.761 8.654 0.811 N
7.885 0.569 3.348 N
7.986 3.136 3.324 N
8.654 1.938 0.811 N
9.130 7.885 3.348 N



Sm4MgPt PBE optimized geometry; calculated volume = 703.0 Å³/cell; symmetry = No. 216; uncorrected energy = -0.18023 Ha/atom; crystal system = cubic
1.0
0.000 7.057 7.057
7.057 0.000 7.057
7.057 7.057 0.000
Sm Mg Pt
16 4 4
Cartesian
3.529 3.529 0.857 Sm
3.529 0.857 3.529 Sm
6.200 3.529 3.529 Sm
7.057 7.057 2.601 Sm
7.057 2.601 7.057 Sm
11.513 7.057 7.057 Sm
8.439 5.676 5.676 Sm
0.857 3.529 3.529 Sm
3.529 6.200 3.529 Sm
3.529 3.529 6.200 Sm
5.676 8.439 5.676 Sm
5.676 5.676 8.439 Sm
8.439 8.439 8.439 Sm
2.601 7.057 7.057 Sm
7.057 11.513 7.057 Sm
7.057 7.057 11.513 Sm
11.714 9.458 9.458 Mg
9.458 11.714 9.458 Mg
9.458 9.458 11.714 Mg
11.714 11.714 11.714 Mg
5.536 5.536 5.536 Pt
8.579 8.579 5.536 Pt
8.579 5.536 8.579 Pt
5.536 8.579 8.579 Pt



Pd3N PBE optimized geometry; calculated volume = 56.3 Å³/cell; symmetry = No. 221; uncorrected energy = -0.17531 Ha/atom; crystal system = cubic
1.0
3.833 0.000 0.000
0.000 3.833 0.000
0.000 0.000 3.833
Pd N
3 1
Cartesian
0.000 0.000 1.916 Pd
0.000 1.916 0.000 Pd
1.916 0.000 0.000 Pd
1.916 1.916 1.916 N



EuInPd PBE optimized geometry; calculated volume = 217.8 Å³/cell; symmetry = No. 189; uncorrected energy = -0.24871 Ha/atom; crystal system = hexagonal
1.0
7.653 0.000 0.000
-3.827 6.628 0.000
0.000 0.000 4.294
Eu In Pd
3 3 3
Cartesian
-2.254 3.905 0.000 Eu
1.572 2.723 0.000 Eu
4.509 0.000 0.000 Eu
-0.948 1.642 2.147 In
1.896 0.000 2.147 In
2.879 4.986 2.147 In
0.000 0.000 0.000 Pd
0.000 4.419 2.147 Pd
3.827 2.209 2.147 Pd



Li2TlAu PBE optimized geometry; calculated volume = 297.3 Å³/cell; symmetry = No. 216; uncorrected energy = -0.10016 Ha/atom; crystal system = cubic; distance to the lowest polymorph of the same formula = 28.4 meV per atom
1.0
6.674 0.000 0.000
0.000 6.674 0.000
0.000 0.000 6.674
Li Tl Au
8 4 4
Cartesian
0.000 0.000 0.000 Li
0.000 3.337 3.337 Li
1.669 1.669 1.669 Li
1.669 5.006 5.006 Li
3.337 0.000 3.337 Li
3.337 3.337 0.000 Li
5.006 1.669 5.006 Li
5.006 5.006 1.669 Li
1.669 1.669 5.006 Tl
1.669 5.006 1.669 Tl
5.006 1.669 1.669 Tl
5.006 5.006 5.006 Tl
0.000 0.000 3.337 Au
0.000 3.337 0.000 Au
3.337 0.000 0.000 Au
3.337 3.337 3.337 Au



Li3Ho PBE optimized geometry; calculated volume = 184.6 Å³/cell; symmetry = No. 194; uncorrected energy = -0.08689 Ha/atom; crystal system = hexagonal
1.0
6.518 0.000 0.000
-3.259 5.644 0.000
0.000 0.000 5.019
Li Ho
6 2
Cartesian
0.000 1.699 1.255 Li
-1.787 4.795 1.255 Li
1.472 0.850 3.764 Li
1.787 4.795 1.255 Li
5.046 0.850 3.764 Li
3.259 3.945 3.764 Li
0.000 3.763 3.764 Ho
3.259 1.881 1.255 Ho



Al2O3 PBE optimized geometry; calculated volume = 92.0 Å³/cell; symmetry = No. 148; uncorrected energy = -0.27253 Ha/atom; crystal system = trigonal
1.0
2.424 1.400 4.519
-2.424 1.400 4.519
0.000 -2.799 4.519
Al O
4 6
Cartesian
0.000 0.000 0.000 Al
0.000 0.000 2.620 Al
0.000 0.000 6.779 Al
0.000 0.000 10.938 Al
-0.700 -1.487 5.765 O
-1.638 -0.137 7.793 O
-0.938 1.350 5.765 O
0.938 -1.350 7.793 O
1.638 0.137 5.765 O
0.700 1.487 7.793 O